Record 1
Material: Zn3Fe15Cu39Ge6S64
Method: DFT, PBE
State: relaxed

Total energy, eV/atom: -4.90
SG: P1

```
data_Zn3Fe15Cu39Ge6S64
_chemical_formula_sum 'Zn3 Fe15 Cu39 Ge6 S64'
_space_group_name_H-M_alt 'P 1'
_space_group_IT_number 1
_cell_length_a 10.488
_cell_length_b 10.477
_cell_length_c 20.978
_cell_angle_alpha 89.98
_cell_angle_beta 89.72
_cell_angle_gamma 89.80
loop_
_space_group_symop_operation_xyz
'x,y,z'
loop_
_atom_site_label
_atom_site_type_symbol
_atom_site_fract_x
_atom_site_fract_y
_atom_site_fract_z
Fe1 Fe 0.000 0.500 0.750
Fe2 Fe 0.251 0.501 0.628
Fe3 Fe 0.501 0.500 0.749
Fe4 Fe 0.250 0.500 0.126
Fe5 Fe 0.749 0.255 0.250
Fe6 Fe 0.749 0.000 0.248
Fe7 Fe 0.751 0.000 0.750
Fe8 Fe 0.250 0.495 0.500
Fe9 Fe 0.249 0.501 0.373
Fe10 Fe 0.752 0.255 0.749
Fe11 Fe 0.998 0.499 0.251
Fe12 Fe 0.751 0.744 0.250
Fe13 Fe 0.250 0.500 0.872
Fe14 Fe 0.748 0.745 0.750
Fe15 Fe 0.501 0.501 0.250
S1 S 0.875 0.621 0.312
S2 S 0.368 0.875 0.932
S3 S 0.631 0.872 0.310
S4 S 0.375 0.126 0.314
S5 S 0.874 0.623 0.810
S6 S 0.127 0.622 0.690
S7 S 0.629 0.872 0.810
S8 S 0.876 0.374 0.437
S9 S 0.624 0.373 0.563
S10 S 0.869 0.862 0.439
S11 S 0.629 0.871 0.066
S12 S 0.126 0.125 0.687
S13 S 0.631 0.129 0.690
S14 S 0.133 0.384 0.064
S15 S 0.376 0.625 0.811
S16 S 0.872 0.128 0.809
S17 S 0.132 0.618 0.935
S18 S 0.623 0.374 0.062
S19 S 0.125 0.623 0.188
S20 S 0.122 0.126 0.186
S21 S 0.877 0.626 0.062
S22 S 0.129 0.619 0.437
S23 S 0.625 0.622 0.190
S24 S 0.124 0.872 0.313
S25 S 0.621 0.126 0.437
S26 S 0.875 0.377 0.190
S27 S 0.375 0.123 0.816
S28 S 0.380 0.874 0.436
S29 S 0.371 0.386 0.434
S30 S 0.376 0.872 0.689
S31 S 0.876 0.128 0.564
S32 S 0.625 0.379 0.312
S33 S 0.627 0.633 0.439
S34 S 0.129 0.132 0.437
S35 S 0.371 0.618 0.564
S36 S 0.630 0.131 0.192
S37 S 0.878 0.868 0.936
S38 S 0.625 0.621 0.688
S39 S 0.871 0.129 0.066
S40 S 0.125 0.375 0.811
S41 S 0.124 0.873 0.566
S42 S 0.869 0.869 0.192
S43 S 0.623 0.132 0.936
S44 S 0.623 0.624 0.937
S45 S 0.869 0.128 0.310
S46 S 0.373 0.622 0.311
S47 S 0.368 0.382 0.935
S48 S 0.132 0.125 0.932
S49 S 0.875 0.379 0.689
S50 S 0.125 0.878 0.816
S51 S 0.376 0.127 0.563
S52 S 0.125 0.872 0.063
S53 S 0.375 0.377 0.189
S54 S 0.378 0.874 0.186
S55 S 0.126 0.379 0.311
S56 S 0.367 0.616 0.064
S57 S 0.871 0.634 0.561
S58 S 0.623 0.869 0.562
S59 S 0.374 0.379 0.690
S60 S 0.868 0.870 0.690
S61 S 0.376 0.129 0.063
S62 S 0.130 0.386 0.566
S63 S 0.625 0.377 0.810
S64 S 0.878 0.376 0.937
Ge1 Ge 0.754 0.249 0.001
Ge2 Ge 0.746 0.750 0.001
Ge3 Ge 0.255 0.002 0.624
Ge4 Ge 0.250 0.000 0.125
Ge5 Ge 0.247 0.000 0.377
Ge6 Ge 0.749 0.249 0.499
Cu1 Cu 0.501 0.250 0.128
Cu2 Cu 0.502 0.998 0.504
Cu3 Cu 0.256 0.241 0.753
Cu4 Cu 0.500 0.254 0.375
Cu5 Cu 0.004 0.000 0.251
Cu6 Cu 0.757 0.997 0.379
Cu7 Cu 0.257 0.749 0.998
Cu8 Cu 0.496 0.251 0.626
Cu9 Cu 0.244 0.758 0.753
Cu10 Cu 0.508 0.504 0.496
Cu11 Cu 0.243 0.251 0.998
Cu12 Cu 0.497 0.000 0.251
Cu13 Cu 0.498 0.739 0.122
Cu14 Cu 0.009 0.741 0.872
Cu15 Cu 0.250 0.753 0.249
Cu16 Cu 0.004 0.251 0.373
Cu17 Cu 0.756 0.504 0.620
Cu18 Cu 0.505 0.753 0.626
Cu19 Cu 0.996 0.751 0.375
Cu20 Cu 0.743 0.994 0.621
Cu21 Cu 0.251 0.245 0.250
Cu22 Cu 0.750 0.000 0.877
Cu23 Cu 0.004 0.501 0.000
Cu24 Cu 0.744 0.504 0.380
Cu25 Cu 0.007 0.993 0.751
Cu26 Cu 0.992 0.504 0.504
Cu27 Cu 0.499 0.741 0.375
Cu28 Cu 0.750 0.500 0.876
Cu29 Cu 0.251 0.753 0.499
Cu30 Cu 0.004 0.250 0.876
Cu31 Cu 0.492 0.259 0.872
Cu32 Cu 0.002 0.255 0.626
Cu33 Cu 0.750 0.500 0.123
Cu34 Cu 0.999 0.750 0.128
Cu35 Cu 0.496 0.750 0.876
Cu36 Cu 0.999 0.739 0.626
Cu37 Cu 0.497 0.499 0.000
Cu38 Cu 0.492 0.007 0.751
Cu39 Cu 0.002 0.261 0.122
Zn1 Zn 0.498 0.988 0.998
Zn2 Zn 0.997 0.996 0.494
Zn3 Zn 0.003 0.012 0.998
```


Record 2
Material: FeCu2GeSe4
Method: DFT, PBE
State: relaxed

Total energy, eV/atom: -4.63
SG: I-42m

```
data_FeCu2GeSe4
_chemical_formula_sum 'Fe1 Cu2 Ge1 Se4'
_space_group_name_H-M_alt 'P 1'
_space_group_IT_number 1
_cell_length_a 6.858
_cell_length_b 6.858
_cell_length_c 6.858
_cell_angle_alpha 131.40
_cell_angle_beta 131.40
_cell_angle_gamma 71.18
loop_
_space_group_symop_operation_xyz
'x,y,z'
loop_
_atom_site_label
_atom_site_type_symbol
_atom_site_fract_x
_atom_site_fract_y
_atom_site_fract_z
Se1 Se 0.374 0.883 0.000
Se2 Se 0.626 0.626 0.509
Se3 Se 0.117 0.117 0.491
Se4 Se 0.883 0.374 0.000
Cu1 Cu 0.250 0.750 0.500
Cu2 Cu 0.750 0.250 0.500
Ge1 Ge 0.500 0.500 0.000
Fe1 Fe 0.000 0.000 0.000
```


Record 3
Material: InFeCu2Te4
Method: DFT, PBE
State: relaxed

Total energy, eV/atom: -4.10
SG: I-4

```
data_InFeCu2Te4
_chemical_formula_sum 'In1 Fe1 Cu2 Te4'
_space_group_name_H-M_alt 'P 1'
_space_group_IT_number 1
_cell_length_a 6.124
_cell_length_b 6.124
_cell_length_c 7.505
_cell_angle_alpha 65.92
_cell_angle_beta 65.92
_cell_angle_gamma 90.00
loop_
_space_group_symop_operation_xyz
'x,y,z'
loop_
_atom_site_label
_atom_site_type_symbol
_atom_site_fract_x
_atom_site_fract_y
_atom_site_fract_z
In1 In 0.500 0.500 0.000
Fe1 Fe 0.250 0.750 0.500
Te1 Te 0.903 0.365 0.732
Te2 Te 0.097 0.097 0.268
Te3 Te 0.635 0.635 0.268
Te4 Te 0.365 0.903 0.732
Cu1 Cu 0.000 0.000 0.000
Cu2 Cu 0.750 0.250 0.500
```


Record 4
Material: KFeCuS2
Method: DFT, PBE
State: relaxed

Total energy, eV/atom: -4.94
SG: I-4m2

```
data_KFeCuS2
_chemical_formula_sum 'K1 Fe1 Cu1 S2'
_space_group_name_H-M_alt 'P 1'
_space_group_IT_number 1
_cell_length_a 6.873
_cell_length_b 6.873
_cell_length_c 6.873
_cell_angle_alpha 147.63
_cell_angle_beta 147.63
_cell_angle_gamma 46.43
loop_
_space_group_symop_operation_xyz
'x,y,z'
loop_
_atom_site_label
_atom_site_type_symbol
_atom_site_fract_x
_atom_site_fract_y
_atom_site_fract_z
Cu1 Cu 0.250 0.750 0.500
S1 S 0.652 0.652 0.000
S2 S 0.348 0.348 0.000
K1 K 0.000 0.000 0.000
Fe1 Fe 0.750 0.250 0.500
```


Record 5
Material: KFeCuSe2
Method: DFT, PBE
State: relaxed

Total energy, eV/atom: -4.62
SG: I-4m2

```
data_KFeCuSe2
_chemical_formula_sum 'K1 Fe1 Cu1 Se2'
_space_group_name_H-M_alt 'P 1'
_space_group_IT_number 1
_cell_length_a 7.250
_cell_length_b 7.250
_cell_length_c 7.250
_cell_angle_alpha 148.18
_cell_angle_beta 148.18
_cell_angle_gamma 45.61
loop_
_space_group_symop_operation_xyz
'x,y,z'
loop_
_atom_site_label
_atom_site_type_symbol
_atom_site_fract_x
_atom_site_fract_y
_atom_site_fract_z
Cu1 Cu 0.250 0.750 0.500
Fe1 Fe 0.750 0.250 0.500
Se1 Se 0.353 0.353 0.000
Se2 Se 0.647 0.647 0.000
K1 K 0.000 0.000 0.000
```


Record 6
Material: LiFeCuS2
Method: DFT, PBE
State: relaxed

Total energy, eV/atom: -5.08
SG: P3m1

```
data_LiFeCuS2
_chemical_formula_sum 'Li1 Fe1 Cu1 S2'
_space_group_name_H-M_alt 'P 1'
_space_group_IT_number 1
_cell_length_a 3.807
_cell_length_b 3.807
_cell_length_c 6.258
_cell_angle_alpha 90.00
_cell_angle_beta 90.00
_cell_angle_gamma 120.00
loop_
_space_group_symop_operation_xyz
'x,y,z'
loop_
_atom_site_label
_atom_site_type_symbol
_atom_site_fract_x
_atom_site_fract_y
_atom_site_fract_z
Li1 Li 0.333 0.667 0.012
S1 S 0.667 0.333 0.247
S2 S 0.000 0.000 0.755
Fe1 Fe 0.667 0.333 0.622
Cu1 Cu 0.000 0.000 0.363
```


Record 7
Material: LuFeCu
Method: DFT, PBE
State: relaxed

Total energy, eV/atom: -5.82
SG: Imma

```
data_LuFeCu
_chemical_formula_sum 'Lu2 Fe2 Cu2'
_space_group_name_H-M_alt 'P 1'
_space_group_IT_number 1
_cell_length_a 5.148
_cell_length_b 5.148
_cell_length_c 5.148
_cell_angle_alpha 121.80
_cell_angle_beta 121.26
_cell_angle_gamma 87.38
loop_
_space_group_symop_operation_xyz
'x,y,z'
loop_
_atom_site_label
_atom_site_type_symbol
_atom_site_fract_x
_atom_site_fract_y
_atom_site_fract_z
Fe1 Fe 0.000 0.000 0.500
Fe2 Fe 0.000 0.500 0.000
Cu1 Cu 0.500 0.500 0.000
Cu2 Cu 0.000 0.500 0.500
Lu1 Lu 0.628 0.878 0.750
Lu2 Lu 0.372 0.122 0.250
```


Record 8
Material: Mg6FeCu
Method: DFT, PBE
State: relaxed

Total energy, eV/atom: -2.61
Relative energy among the computed polymorphs, meV/atom: 0

```
data_Mg6FeCu
_chemical_formula_sum 'Mg12 Fe2 Cu2'
_space_group_name_H-M_alt 'P 1'
_space_group_IT_number 1
_cell_length_a 4.799
_cell_length_b 6.026
_cell_length_c 10.386
_cell_angle_alpha 90.00
_cell_angle_beta 90.00
_cell_angle_gamma 90.00
loop_
_space_group_symop_operation_xyz
'x,y,z'
loop_
_atom_site_label
_atom_site_type_symbol
_atom_site_fract_x
_atom_site_fract_y
_atom_site_fract_z
Mg1 Mg 0.000 0.761 0.411
Mg2 Mg 0.000 0.261 0.911
Mg3 Mg 0.500 0.262 0.592
Mg4 Mg 0.000 0.239 0.411
Mg5 Mg 0.500 0.238 0.092
Mg6 Mg 0.500 0.000 0.835
Mg7 Mg 0.000 0.500 0.165
Mg8 Mg 0.500 0.738 0.592
Mg9 Mg 0.000 0.739 0.911
Mg10 Mg 0.500 0.500 0.335
Mg11 Mg 0.500 0.762 0.092
Mg12 Mg 0.000 0.000 0.665
Fe1 Fe 0.000 0.500 0.670
Fe2 Fe 0.000 0.000 0.170
Cu1 Cu 0.500 0.000 0.325
Cu2 Cu 0.500 0.500 0.825
```


| no. | formation enthalpy at 0 K (eV/atom) |
| --- | --- |
| 1 | -0.56 |
| 2 | -0.46 |
| 3 | -0.32 |
| 4 | -0.75 |
| 5 | -0.67 |
| 6 | -0.73 |
| 7 | -0.12 |
| 8 | 0.16 |